VASP calculation (PBE-GGA) on AlAu4 after structural relaxation.

E_form: -20 kJ per mole of atoms
Uncorrected energy: -3.58 eV per atom
E above lowest polymorph: 0.00 eV/f.u.

CIF file:
```
data_AlAu4
_chemical_formula_sum 'Al4 Au16'
_symmetry_space_group_name_H-M 'P 21 3'
_symmetry_Int_Tables_number 198
_symmetry_space_group_name_Hall 'P 2ac 2ab 3'
_cell_length_a 7.0546
_cell_length_b 7.0546
_cell_length_c 7.0546
_cell_angle_alpha 90.00
_cell_angle_beta 90.00
_cell_angle_gamma 90.00
loop_
_atom_site_label
_atom_site_type_symbol
_atom_site_fract_x
_atom_site_fract_y
_atom_site_fract_z
_atom_site_occupancy
Al1 Al 0.0634 0.0634 0.0634 1
Au1 Au 0.0508 0.8862 0.7149 1
Au2 Au 0.1826 0.8174 0.3174 1
```

=====

VASP calculation (PBE-GGA) on AlAu2 after structural relaxation.

E_form: -30 kJ per mole of atoms
Uncorrected energy: -3.74 eV per atom

CIF file:
```
data_AlAu2
_chemical_formula_sum 'Al2 Au4'
_symmetry_space_group_name_H-M 'I 4/m m m'
_symmetry_Int_Tables_number 139
_symmetry_space_group_name_Hall '-I 4 2'
_cell_length_a 3.3710
_cell_length_b 3.3710
_cell_length_c 8.9705
_cell_angle_alpha 90.00
_cell_angle_beta 90.00
_cell_angle_gamma 90.00
loop_
_atom_site_label
_atom_site_type_symbol
_atom_site_fract_x
_atom_site_fract_y
_atom_site_fract_z
_atom_site_occupancy
Al1 Al 0.0000 0.0000 0.0000 1
Au1 Au 0.0000 0.0000 0.3441 1
```

=====

VASP calculation (PBE-GGA) on AlAu4 after structural relaxation.

E_form: -13 kJ per mole of atoms
Uncorrected energy: -3.51 eV per atom
E above lowest polymorph: 0.36 eV/f.u.

CIF file:
```
data_AlAu4
_chemical_formula_sum 'Al2 Au8'
_symmetry_space_group_name_H-M 'C 1 2/m 1'
_symmetry_Int_Tables_number 12
_cell_length_a 4.8494
_cell_length_b 3.4282
_cell_length_c 10.9180
_cell_angle_alpha 90.00
_cell_angle_beta 95.08
_cell_angle_gamma 90.00
loop_
_symmetry_equiv_pos_as_xyz
'x,y,z'
'-x,-y,-z'
'-x,y,-z'
'x,-y,z'
'x+1/2,y+1/2,z'
'-x+1/2,-y+1/2,-z'
'-x+1/2,y+1/2,-z'
'x+1/2,-y+1/2,z'
loop_
_atom_site_label
_atom_site_type_symbol
_atom_site_fract_x
_atom_site_fract_y
_atom_site_fract_z
_atom_site_occupancy
Al1 Al 0.0000 0.0000 0.0000 1
Au1 Au 0.1131 0.5000 0.8219 1
Au2 Au 0.1987 0.0000 0.6059 1
```

=====

VASP calculation (PBE-GGA) on Al3Au after structural relaxation.

E_form: -11 kJ per mole of atoms
Uncorrected energy: -3.74 eV per atom

CIF file:
```
data_Al3Au
_chemical_formula_sum 'Al6 Au2'
_symmetry_space_group_name_H-M 'I 4/m m m'
_symmetry_Int_Tables_number 139
_symmetry_space_group_name_Hall '-I 4 2'
_cell_length_a 4.0507
_cell_length_b 4.0507
_cell_length_c 8.1132
_cell_angle_alpha 90.00
_cell_angle_beta 90.00
_cell_angle_gamma 90.00
loop_
_atom_site_label
_atom_site_type_symbol
_atom_site_fract_x
_atom_site_fract_y
_atom_site_fract_z
_atom_site_occupancy
Al1 Al 0.0000 0.0000 0.0000 1
Al2 Al 0.0000 0.5000 0.2500 1
Au1 Au 0.0000 0.0000 0.5000 1
```

=====

VASP calculation (PBE-GGA) on Cs2AlAuBr6 after structural relaxation.

E_form: -139 kJ per mole of atoms
Uncorrected energy: -2.99 eV per atom

CIF file:
```
data_Cs2AlAuBr6
_chemical_formula_sum 'Cs8 Al4 Au4 Br24'
_symmetry_space_group_name_H-M 'F m -3 m'
_symmetry_Int_Tables_number 225
_symmetry_space_group_name_Hall '-F 4 2 3'
_cell_length_a 10.9220
_cell_length_b 10.9220
_cell_length_c 10.9220
_cell_angle_alpha 90.00
_cell_angle_beta 90.00
_cell_angle_gamma 90.00
loop_
_atom_site_label
_atom_site_type_symbol
_atom_site_fract_x
_atom_site_fract_y
_atom_site_fract_z
_atom_site_occupancy
Cs1 Cs 0.2500 0.2500 0.2500 1
Al1 Al 0.0000 0.0000 0.0000 1
Au1 Au 0.0000 0.0000 0.5000 1
Br1 Br 0.0000 0.0000 0.2349 1
```

=====

VASP calculation (PBE-GGA) on CaAlAu after structural relaxation.

E_form: -67 kJ per mole of atoms
Uncorrected energy: -3.70 eV per atom

CIF file:
```
data_CaAlAu
_chemical_formula_sum 'Ca4 Al4 Au4'
_symmetry_space_group_name_H-M 'P n m a'
_symmetry_Int_Tables_number 62
_cell_length_a 7.3351
_cell_length_b 4.5569
_cell_length_c 7.8054
_cell_angle_alpha 90.00
_cell_angle_beta 90.00
_cell_angle_gamma 90.00
loop_
_symmetry_equiv_pos_as_xyz
'x,y,z'
'-x,-y,-z'
'-x+1/2,-y,z+1/2'
'x+1/2,y,-z+1/2'
'x+1/2,-y+1/2,-z+1/2'
'-x+1/2,y+1/2,z+1/2'
'-x,y+1/2,-z'
'x,-y+1/2,z'
loop_
_atom_site_label
_atom_site_type_symbol
_atom_site_fract_x
_atom_site_fract_y
_atom_site_fract_z
_atom_site_occupancy
Ca1 Ca 0.0142 0.2500 0.1828 1
Al1 Al 0.1548 0.2500 0.5683 1
Au1 Au 0.2084 0.7500 0.3876 1
```

=====

VASP calculation (PBE-GGA) on CeAl2Au2 after structural relaxation.

E_form: -67 kJ per mole of atoms
Uncorrected energy: -4.69 eV per atom

CIF file:
```
data_CeAl2Au2
_chemical_formula_sum 'Ce2 Al4 Au4'
_symmetry_space_group_name_H-M 'P 4/n m m'
_symmetry_Int_Tables_number 129
_cell_length_a 4.4456
_cell_length_b 4.4456
_cell_length_c 10.4317
_cell_angle_alpha 90.00
_cell_angle_beta 90.00
_cell_angle_gamma 90.00
loop_
_symmetry_equiv_pos_as_xyz
'x,y,z'
'-x,-y,-z'
'-y+1/2,x,z'
'y+1/2,-x,-z'
'-x+1/2,-y+1/2,z'
'x+1/2,y+1/2,-z'
'y,-x+1/2,z'
'-y,x+1/2,-z'
'x+1/2,-y,-z'
'-x+1/2,y,z'
'-y,-x,-z'
'y,x,z'
'-x,y+1/2,-z'
'x,-y+1/2,z'
'y+1/2,x+1/2,-z'
'-y+1/2,-x+1/2,z'
loop_
_atom_site_label
_atom_site_type_symbol
_atom_site_fract_x
_atom_site_fract_y
_atom_site_fract_z
_atom_site_occupancy
Ce1 Ce 0.2500 0.2500 0.2491 1
Al1 Al 0.2500 0.2500 0.8720 1
Al2 Al 0.2500 0.7500 0.5000 1
Au1 Au 0.2500 0.2500 0.6311 1
Au2 Au 0.2500 0.7500 0.0000 1
```

=====

VASP calculation (PBE-GGA) on CeAl7Au3 after structural relaxation.

E_form: -48 kJ per mole of atoms
Uncorrected energy: -4.31 eV per atom

CIF file:
```
data_CeAl7Au3
_chemical_formula_sum 'Ce6 Al42 Au18'
_symmetry_space_group_name_H-M 'R -3 c'
_symmetry_Int_Tables_number 167
_symmetry_space_group_name_Hall '-R 3 2"c'
_cell_length_a 8.1691
_cell_length_b 8.1691
_cell_length_c 21.1926
_cell_angle_alpha 90.00
_cell_angle_beta 90.00
_cell_angle_gamma 120.00
loop_
_atom_site_label
_atom_site_type_symbol
_atom_site_fract_x
_atom_site_fract_y
_atom_site_fract_z
_atom_site_occupancy
Ce1 Ce 0.0000 0.0000 0.0000 1
Al1 Al 0.0000 0.0000 0.2500 1
Al2 Al 0.0110 0.2054 0.1364 1
Au1 Au 0.0000 0.3203 0.2500 1
```

=====

VASP calculation (PBE-GGA) on CeAlAu after structural relaxation.

E_form: -64 kJ per mole of atoms
Uncorrected energy: -4.98 eV per atom

CIF file:
```
data_CeAlAu
_chemical_formula_sum 'Ce4 Al4 Au4'
_symmetry_space_group_name_H-M 'P n m a'
_symmetry_Int_Tables_number 62
_cell_length_a 7.4781
_cell_length_b 4.5710
_cell_length_c 7.8079
_cell_angle_alpha 90.00
_cell_angle_beta 90.00
_cell_angle_gamma 90.00
loop_
_symmetry_equiv_pos_as_xyz
'x,y,z'
'-x,-y,-z'
'-x+1/2,-y,z+1/2'
'x+1/2,y,-z+1/2'
'x+1/2,-y+1/2,-z+1/2'
'-x+1/2,y+1/2,z+1/2'
'-x,y+1/2,-z'
'x,-y+1/2,z'
loop_
_atom_site_label
_atom_site_type_symbol
_atom_site_fract_x
_atom_site_fract_y
_atom_site_fract_z
_atom_site_occupancy
Ce1 Ce 0.0101 0.2500 0.1958 1
Al1 Al 0.1759 0.2500 0.5782 1
Au1 Au 0.2032 0.7500 0.4035 1
```

=====

VASP calculation (PBE-GGA) on CeAlAu after structural relaxation.

E_form: -59 kJ per mole of atoms
Uncorrected energy: -4.93 eV per atom

CIF file:
```
data_CeAlAu
_chemical_formula_sum 'Ce2 Al2 Au2'
_symmetry_space_group_name_H-M 'P 63/m m c'
_symmetry_Int_Tables_number 194
_symmetry_space_group_name_Hall '-P 6c 2c'
_cell_length_a 4.5391
_cell_length_b 4.5391
_cell_length_c 7.5856
_cell_angle_alpha 90.00
_cell_angle_beta 90.00
_cell_angle_gamma 120.00
loop_
_atom_site_label
_atom_site_type_symbol
_atom_site_fract_x
_atom_site_fract_y
_atom_site_fract_z
_atom_site_occupancy
Ce1 Ce 0.0000 0.0000 0.0000 1
Al1 Al 0.3333 0.6667 0.2500 1
Au1 Au 0.3333 0.6667 0.7500 1
```